! SrIn6Cu7, relaxed, DFT r2SCAN; values from VASP
&SYSTEM
  ibrav = 0, nat = 56, ntyp = 3
/
ATOMIC_SPECIES
Cu 63.55 Cu.upf
In 114.82 In.upf
Sr 87.62 Sr.upf
ATOMIC_POSITIONS angstrom
Cu 8.327 -2.164 9.451
In 7.351 4.620 9.451
Cu 5.172 0.000 1.845
In 11.830 0.000 11.149
Cu 3.351 -2.169 8.145
Sr 6.304 -3.195 6.301
Cu 5.172 0.000 4.455
Cu 7.988 4.162 3.150
In 5.736 1.768 9.451
In 0.778 0.000 1.452
In 3.142 -1.739 5.496
Cu 4.281 2.164 3.150
Cu 9.337 0.000 3.150
Cu 4.281 -2.164 3.150
In 4.878 0.000 7.163
Cu 10.712 0.000 1.027
Cu 3.271 0.000 9.451
Cu 3.351 2.169 8.145
In 5.257 -4.620 3.150
Sr 6.304 3.195 0.000
Cu 9.607 0.000 9.451
Cu 7.436 0.000 10.756
In 3.142 1.739 0.805
Cu 3.000 0.000 3.150
In 3.142 1.739 5.496
In 9.466 -1.739 11.797
Cu 9.257 -2.169 1.844
In 6.872 -1.768 3.150
In 0.778 0.000 4.848
Cu 9.257 2.169 1.844
Cu 7.436 0.000 8.146
In 7.730 0.000 0.862
Cu 9.257 2.169 4.456
In 6.872 1.768 3.150
In 5.736 -1.768 9.451
In 4.878 0.000 11.739
Cu 3.351 -2.169 10.757
Cu 8.327 2.164 9.451
Cu 4.620 4.162 9.451
Cu 9.257 -2.169 4.456
In 9.466 -1.739 7.105
In 5.257 4.620 3.150
Cu 1.896 0.000 11.575
In 9.466 1.739 7.105
Cu 3.351 2.169 10.757
In 11.830 0.000 7.753
Cu 10.712 0.000 5.274
Cu 7.988 -4.162 3.150
In 7.351 -4.620 9.451
In 7.730 0.000 5.438
Cu 1.896 0.000 7.327
Sr 6.304 3.195 6.301
In 9.466 1.739 11.797
Sr 6.304 -3.195 0.000
In 3.142 -1.739 0.805
Cu 4.620 -4.162 9.451
CELL_PARAMETERS angstrom
6.304 -6.326 0.000
6.304 6.326 0.000
0.000 0.000 12.601
! total magnetic moment = 0.0 Bohr magnetons per cell
! energy of formation from the pure elements = -0.181 eV/atom
! space group = No. 63



! RbMo3Se3, relaxed, DFT r2SCAN; values from VASP
&SYSTEM
  ibrav = 0, nat = 14, ntyp = 3
/
ATOMIC_SPECIES
Se 78.96 Se.upf
Mo 95.94 Mo.upf
Rb 85.47 Rb.upf
ATOMIC_POSITIONS angstrom
Se 5.827 -5.326 1.124
Se 7.526 2.383 3.371
Mo 4.144 6.741 1.124
Se 1.891 -2.383 1.124
Mo 0.942 -1.196 3.371
Rb 4.708 2.718 1.124
Mo 7.910 -0.218 3.371
Rb 4.708 -2.718 3.371
Se 6.407 -0.446 1.124
Se 3.590 5.326 3.371
Mo 1.507 0.218 1.124
Se 3.010 0.446 3.371
Mo 8.474 1.196 1.124
Mo 5.273 -6.741 3.371
CELL_PARAMETERS angstrom
4.708 -8.155 0.000
4.708 8.155 0.000
0.000 0.000 4.495
! total magnetic moment = 0.0 Bohr magnetons per cell
! energy of formation from the pure elements = -0.849 eV/atom
! space group = No. 176



! Er2Ge5Rh3, relaxed, DFT r2SCAN; values from VASP
&SYSTEM
  ibrav = 0, nat = 20, ntyp = 3
/
ATOMIC_SPECIES
Ge 72.64 Ge.upf
Rh 102.91 Rh.upf
Er 167.26 Er.upf
ATOMIC_POSITIONS angstrom
Ge 0.891 -3.877 4.612
Ge -1.662 -10.409 5.169
Ge 1.131 -3.149 0.983
Rh -0.752 -8.365 5.983
Rh -3.718 -5.570 8.071
Rh 3.186 -7.989 -1.919
Ge 1.488 -7.187 -0.298
Ge 0.505 -7.564 4.040
Er -1.392 -3.015 2.613
Ge -1.036 -5.995 2.112
Ge -3.236 -4.956 4.211
Ge 2.705 -8.603 1.941
Ge -2.019 -6.372 6.450
Er 2.250 -5.576 2.537
Er -2.781 -7.983 3.615
Er 0.861 -10.544 3.539
Ge -1.422 -9.681 1.540
Rh 0.268 -8.005 1.610
Rh -0.800 -5.553 4.542
Rh 0.221 -5.194 0.169
CELL_PARAMETERS angstrom
-5.737 -3.354 4.898
2.537 -7.262 -2.999
2.669 -2.943 4.253
! total magnetic moment = 0.0 Bohr magnetons per cell
! energy of formation from the pure elements = -0.812 eV/atom
! space group = No. 15